(1)
MnPO4 | GGA+U | relaxed

Calculated values
formation energy: -2.440 eV/atom
space-group type: Pnma (62)

Geometry as POSCAR:
```
MnPO4
1.0
9.875 0.000 0.000
0.000 6.052 0.000
0.000 0.000 4.925
Mn P O
4 4 16
Direct
0.211 0.250 0.078
0.289 0.750 0.578
0.711 0.250 0.422
0.789 0.750 0.922
0.102 0.750 0.087
0.398 0.250 0.587
0.602 0.750 0.413
0.898 0.250 0.913
0.052 0.250 0.858
0.124 0.750 0.776
0.171 0.550 0.230
0.171 0.950 0.230
0.329 0.050 0.730
0.329 0.450 0.730
0.376 0.250 0.276
0.448 0.750 0.358
0.552 0.250 0.642
0.624 0.750 0.724
0.671 0.550 0.270
0.671 0.950 0.270
0.829 0.050 0.770
0.829 0.450 0.770
0.876 0.250 0.224
0.948 0.750 0.142
```


(2)
MnPO4 | GGA+U | relaxed

Calculated values
formation energy: -2.421 eV/atom
space-group type: P-1 (2)

Geometry as POSCAR:
```
MnPO4
1.0
5.082 0.000 0.000
1.525 4.968 0.000
0.181 1.204 6.084
Mn P O
2 2 8
Direct
0.121 0.260 0.209
0.879 0.740 0.791
0.298 0.153 0.714
0.702 0.847 0.286
0.138 0.360 0.867
0.199 0.899 0.751
0.259 0.316 0.475
0.393 0.919 0.214
0.607 0.081 0.786
0.741 0.684 0.525
0.801 0.101 0.249
0.862 0.640 0.133
```


Calculated total energy? In order: -7.4316; -7.4124 eV per atom.